This record from Materials Project describes Er3InN after structural relaxation. The functional is r2SCAN.

a = 4.730 Å, b = 4.730 Å, c = 4.730 Å
α = 90.00°, β = 90.00°, γ = 90.00°
Positions (direct):
Er 0.000 0.000 0.500
Er 0.000 0.500 0.000
Er 0.500 0.000 0.000
In 0.500 0.500 0.500
N 0.000 0.000 0.000

Properties
* energy: -27.9061 eV per atom
* energy of formation: -1.21 eV per atom
* magnetization: 0.000 μB per atom

This record from Materials Project describes ErInNi4 after structural relaxation. The functional is r2SCAN.

a = 4.913 Å, b = 4.913 Å, c = 4.913 Å
α = 60.00°, β = 60.00°, γ = 60.00°
Positions (direct):
Er 0.000 0.000 0.000
In 0.750 0.750 0.750
Ni 0.376 0.376 0.376
Ni 0.376 0.376 0.872
Ni 0.376 0.872 0.376
Ni 0.872 0.376 0.376

Properties
* energy: -17.8012 eV per atom
* energy of formation: -0.40 eV per atom
* magnetization: 0.000 μB per atom

This record from Materials Project describes ErInPd after structural relaxation. The functional is r2SCAN.

a = 7.663 Å, b = 7.663 Å, c = 3.757 Å
α = 90.00°, β = 90.00°, γ = 120.00°
Positions (direct):
Er 0.000 0.407 0.000
Er 0.407 0.000 0.000
Er 0.593 0.593 0.000
In 0.000 0.738 0.500
In 0.262 0.262 0.500
In 0.738 0.000 0.500
Pd 0.000 0.000 0.000
Pd 0.333 0.667 0.500
Pd 0.667 0.333 0.500

Properties
* energy: -27.3905 eV per atom
* energy of formation: -0.90 eV per atom
* magnetization: 0.000 μB per atom

Among the records above, which one has the lowest energy?
Er3InN

Among the records above, which one has the highest energy?
ErInNi4